1.
The following is a PBE calculation of a relaxed Mn9Nb2Ge8 crystal, from Materials Project.

## Properties
Space-group type: Pnma (62)
Total DFT energy (no corrections) (eV per formula unit): -143.3
DFT formation energy (eV per atom): -0.194
Total magnetization (μB/f.u.): 21.32

extended XYZ file:
```
76
Lattice="13.2002 0.0000 0.0000 0.0000 5.0732 0.0000 0.0000 0.0000 16.0374" Properties=species:S:1:pos:R:3 pbc="T T T"
Mn 0.6066 1.2683 1.4834
Mn 0.7995 0.0073 6.0636
Mn 0.7995 2.5293 6.0636
Mn 0.8731 3.8049 3.1424
Mn 1.6576 3.8049 15.9630
Mn 1.7726 2.5666 13.2363
Mn 1.7726 5.0432 13.2363
Mn 1.7875 3.8049 10.5556
Mn 2.4917 1.2683 3.9876
Mn 4.1084 3.8049 12.0063
Mn 4.8126 1.2683 2.5369
Mn 4.8275 0.0300 5.2176
Mn 4.8275 2.5066 5.2176
Mn 4.9425 1.2683 7.9443
Mn 5.7270 1.2683 11.1611
Mn 5.8006 2.5439 14.0824
Mn 5.8006 5.0659 14.0824
Mn 5.9935 3.8049 9.5021
Mn 7.2067 1.2683 6.5353
Mn 7.3996 0.0073 1.9551
Mn 7.3996 2.5293 1.9551
Mn 7.4732 3.8049 4.8763
Mn 8.2577 3.8049 8.0931
Mn 8.3727 2.5666 10.8198
Mn 8.3727 5.0432 10.8198
Mn 8.3876 3.8049 13.5005
Mn 9.0918 1.2683 4.0311
Mn 10.7085 3.8049 12.0498
Mn 11.4127 1.2683 5.4818
Mn 11.4276 0.0300 2.8011
Mn 11.4276 2.5066 2.8011
Mn 11.5426 1.2683 0.0744
Mn 12.3271 1.2683 12.8950
Mn 12.4007 2.5439 9.9738
Mn 12.4007 5.0659 9.9738
Mn 12.5936 3.8049 14.5540
Nb 1.7989 1.2683 8.6945
Nb 3.2962 1.2683 15.5918
Nb 3.3039 3.8049 7.5731
Nb 4.8012 3.8049 0.6758
Nb 8.3990 1.2683 15.3616
Nb 9.8962 1.2683 8.4643
Nb 9.9040 3.8049 0.4456
Nb 11.4013 3.8049 7.3429
Ge 0.0872 1.2683 3.9095
Ge 0.6121 1.2683 15.0058
Ge 0.7138 3.8049 8.2971
Ge 1.0960 1.2683 11.2253
Ge 2.7086 3.8049 4.8614
Ge 2.7591 2.5570 1.9080
Ge 2.7591 5.0528 1.9080
Ge 3.0202 1.2683 6.3737
Ge 3.5799 3.8049 14.3924
Ge 3.8410 0.0204 9.9267
Ge 3.8410 2.5162 9.9267
Ge 3.8915 1.2683 12.8801
Ge 5.5041 3.8049 3.2066
Ge 5.8863 1.2683 0.2784
Ge 5.9880 3.8049 6.9871
Ge 6.5129 3.8049 11.9282
Ge 6.6873 1.2683 4.1092
Ge 7.2122 1.2683 9.0503
Ge 7.3139 3.8049 15.7590
Ge 7.6961 1.2683 12.8308
Ge 9.3087 3.8049 3.1573
Ge 9.3592 2.5570 6.1107
Ge 9.3592 5.0528 6.1107
Ge 9.6203 1.2683 1.6450
Ge 10.1800 3.8049 9.6637
Ge 10.4411 0.0204 14.1294
Ge 10.4411 2.5162 14.1294
Ge 10.4916 1.2683 11.1761
Ge 12.1042 3.8049 4.8121
Ge 12.4864 1.2683 7.7403
Ge 12.5881 3.8049 1.0316
Ge 13.1130 3.8049 12.1280
```

---

2.
The following is a PBE calculation of a relaxed Fe7C3 crystal, from Materials Project.

## Properties
Space-group type: Pnma (62)
Total DFT energy (no corrections) (eV per formula unit): -86.3
DFT formation energy (eV per atom): 0.064
Total magnetization (μB/f.u.): 11.99

extended XYZ file:
```
40
Lattice="4.5173 0.0000 0.0000 0.0000 6.8571 0.0000 0.0000 0.0000 11.7621" Properties=species:S:1:pos:R:3 pbc="T T T"
Fe 0.2620 0.4371 2.2461
Fe 0.2620 2.9914 2.2461
Fe 0.3477 1.7143 4.3766
Fe 0.8934 5.1428 3.5357
Fe 1.0145 5.1428 1.0317
Fe 1.1184 3.8834 5.6911
Fe 1.1184 6.4023 5.6911
Fe 1.1403 0.4548 11.5721
Fe 1.1403 2.9737 11.5721
Fe 1.2442 1.7143 6.9128
Fe 1.3653 1.7143 9.4167
Fe 1.9110 5.1428 10.2577
Fe 1.9967 3.8657 8.1271
Fe 1.9967 6.4200 8.1271
Fe 2.5207 0.4371 3.6350
Fe 2.5207 2.9914 3.6350
Fe 2.6063 1.7143 1.5044
Fe 3.1521 5.1428 2.3454
Fe 3.2731 5.1428 4.8493
Fe 3.3771 3.8834 0.1900
Fe 3.3771 6.4023 0.1900
Fe 3.3989 0.4548 6.0710
Fe 3.3989 2.9737 6.0710
Fe 3.5029 1.7143 10.7304
Fe 3.6239 1.7143 8.2264
Fe 4.1697 5.1428 7.3855
Fe 4.2553 3.8657 9.5160
Fe 4.2553 6.4200 9.5160
C 0.1474 5.1428 11.0406
C 0.1968 0.1788 7.6210
C 0.1968 3.2498 7.6210
C 2.0619 3.6073 1.7400
C 2.0619 6.6783 1.7400
C 2.1113 1.7143 5.1596
C 2.4060 5.1428 6.6025
C 2.4554 0.1788 10.0221
C 2.4554 3.2498 10.0221
C 4.3206 3.6073 4.1411
C 4.3206 6.6783 4.1411
C 4.3700 1.7143 0.7215
```

---

3.
The following is a PBE calculation of a relaxed Sr4IBrN2 crystal, from Materials Project.

## Properties
Space-group type: R-3m (166)
Total DFT energy (no corrections) (eV per formula unit): -36.1
DFT formation energy (eV per atom): -1.280
Total magnetization (μB/f.u.): 0.00

extended XYZ file:
```
8
Lattice="1.9981 1.1536 15.2145 -1.9981 1.1536 15.2145 0.0000 -2.3072 15.2145" Properties=species:S:1:pos:R:3 pbc="T T T"
Sr 0.0000 0.0000 5.0060
Sr 0.0000 0.0000 17.5548
Sr 0.0000 0.0000 28.0888
Sr 0.0000 0.0000 40.6376
I 0.0000 0.0000 22.8218
Br 0.0000 0.0000 0.0000
N 0.0000 0.0000 11.5449
N 0.0000 0.0000 34.0987
```

---

4.
The following is a PBE calculation of a relaxed GeBr4 crystal, from Materials Project.

## Properties
Space-group type: P2_1/c (14)
Total DFT energy (no corrections) (eV per formula unit): -14.3
DFT formation energy (eV per atom): -1.061

extended XYZ file:
```
20
Lattice="11.0294 0.0000 0.0000 0.0000 7.2236 0.0000 -2.4019 0.0000 11.1411" Properties=species:S:1:pos:R:3 pbc="T T T"
Ge 1.8897 0.5120 3.9894
Ge 0.6888 3.0998 9.5600
Ge 7.9387 4.1238 1.5811
Ge 6.7378 6.7116 7.1517
Br 0.3954 0.5031 2.2324
Br -0.8055 3.1087 7.8030
Br 2.1652 4.2049 0.2186
Br 0.9643 6.6305 5.7891
Br 1.1854 0.9213 10.1352
Br 2.3864 2.6905 4.5646
Br 2.6263 4.1798 8.9209
Br 3.8273 6.6556 3.3504
Br 4.8002 0.5680 7.7907
Br 6.0012 3.0438 2.2202
Br 6.2411 4.5331 6.5765
Br 7.4421 6.3023 1.0059
Br 7.6632 0.5931 5.3520
Br 6.4623 3.0187 10.9225
Br 9.4330 4.1149 3.3381
Br 8.2321 6.7205 8.9087
```

---

5.
The following is a PBE calculation of a relaxed Pb4SeBr6 crystal, from Materials Project.

## Properties
Space-group type: Cm (8)
Total DFT energy (no corrections) (eV per formula unit): -37.1
DFT formation energy (eV per atom): -1.107
Total magnetization (μB/f.u.): 0.00

extended XYZ file:
```
11
Lattice="9.3979 -2.2068 0.0000 9.3979 2.2068 0.0000 -5.3295 0.0000 8.6633" Properties=species:S:1:pos:R:3 pbc="T T T"
Pb 0.0000 0.0000 0.0000
Pb 2.0282 0.0000 3.9619
Pb 6.9333 0.0000 4.0054
Pb 9.0087 0.0000 8.4855
Se -1.3937 0.0000 2.5184
Br -2.1002 0.0000 7.1864
Br 4.6214 0.0000 1.9947
Br 2.0937 0.0000 7.7826
Br 11.0929 0.0000 1.4048
Br 9.7238 0.0000 5.3303
Br 13.3741 0.0000 5.0197
```

---

6.
The following is a PBE calculation of a relaxed TaAlSi crystal, from Materials Project.

## Properties
Space-group type: P3_212 (153)
Total DFT energy (no corrections) (eV per formula unit): -22.0
DFT formation energy (eV per atom): -0.316
Total magnetization (μB/f.u.): 0.00

extended XYZ file:
```
9
Lattice="4.8937 0.0000 0.0000 -2.4469 4.2381 0.0000 0.0000 0.0000 6.7744" Properties=species:S:1:pos:R:3 pbc="T T T"
Ta -1.1147 2.1818 0.0000
Ta 1.1147 2.1818 4.5163
Ta 0.0000 4.1126 2.2581
Al 1.2380 0.7147 0.0000
Al 3.6558 0.7147 4.5163
Al 2.4469 2.8086 2.2581
Si 0.0000 1.3424 2.2581
Si -1.2843 3.5669 4.5163
Si 1.2843 3.5669 0.0000
```

---

7.
The following is a PBE calculation of a relaxed Be3Si3Bi2O12 crystal, from Materials Project.

## Properties
Space-group type: P2_1/c (14)
Total DFT energy (no corrections) (eV per formula unit): -141.2
DFT formation energy (eV per atom): -2.739
Total magnetization (μB/f.u.): 0.00

extended XYZ file:
```
80
Lattice="8.3422 0.0000 0.0000 0.0000 8.1607 0.0000 -8.2030 0.0000 14.5111" Properties=species:S:1:pos:R:3 pbc="T T T"
Be -0.6034 1.3811 1.3819
Be -4.7050 2.6992 8.6375
Be -0.8224 1.3621 6.0500
Be -4.9239 2.7183 13.3056
Be 0.6257 5.4093 3.7729
Be -3.4758 6.8317 11.0285
Be 3.6150 1.3290 3.4826
Be -0.4865 2.7514 10.7382
Be 5.0631 5.4424 1.2055
Be 0.9616 6.7986 8.4610
Be 4.8441 5.4615 5.8736
Be 0.7426 6.7796 13.1291
Si -4.7137 5.8020 8.6407
Si -0.6122 6.4390 1.3852
Si -4.9680 5.7722 13.2763
Si -0.8665 6.4688 6.0208
Si -3.4791 1.8238 11.0339
Si 0.6224 2.2566 3.7784
Si -0.4832 5.9042 10.7327
Si 3.6183 6.3369 3.4772
Si 1.0057 1.6919 8.4903
Si 5.1072 2.3885 1.2347
Si 0.7514 1.7217 13.1259
Si 4.8529 2.3587 5.8704
Bi 2.1865 0.2883 1.0336
Bi -1.9151 3.7920 8.2891
Bi -2.0555 0.2304 8.6228
Bi 2.0461 3.8500 1.3672
Bi -1.9069 4.3107 13.1438
Bi 2.1946 7.9303 5.8883
Bi 2.0542 4.3687 6.2220
Bi -2.0473 7.8724 13.4775
O -3.5197 2.0326 7.5442
O 0.5818 2.0478 0.2886
O -4.1014 4.2616 8.7813
O 0.0001 7.9795 1.5258
O -4.6269 1.8748 9.9367
O -0.5254 2.2055 2.6812
O -6.0450 1.7950 12.7409
O -1.9435 2.2854 5.4854
O -2.0459 5.4734 6.6070
O -6.1474 6.7677 13.8625
O 0.4870 5.4440 2.1274
O -3.6145 6.7971 9.3830
O -4.5202 5.9495 11.7607
O -0.4187 6.2915 4.5052
O -5.4496 4.2443 13.7283
O -1.3481 7.9968 6.4727
O -3.2582 0.2646 11.5597
O 0.8433 3.8158 4.3041
O 0.5418 1.2836 5.1269
O -3.5597 2.7967 12.3824
O 2.0578 1.8666 2.9664
O -2.0437 2.2137 10.2220
O -0.4032 1.9664 7.5912
O 3.6983 2.1140 0.3357
O -3.5591 6.0468 14.1754
O 0.5424 6.1943 6.9199
O 2.1829 5.9470 4.2891
O -1.9186 6.2941 11.5447
O 3.6989 5.3640 2.1287
O -0.4026 6.8771 9.3842
O -0.7042 4.3449 10.2069
O 3.3974 7.8961 2.9514
O 1.4873 0.1639 8.0383
O 5.5888 3.9164 0.7828
O 0.5579 1.8692 10.0059
O 4.6594 2.2112 2.7503
O 3.7537 1.3636 5.1281
O -0.3478 2.7167 12.3837
O 6.2866 1.3930 0.6486
O 2.1851 2.6873 7.9041
O 2.0827 5.8753 9.0257
O 6.1842 6.3657 1.7701
O 0.6646 5.9552 11.8299
O 4.7661 6.2859 4.5744
O 0.1391 0.1813 12.9853
O 4.2406 3.8991 5.7298
O -0.4426 6.1129 14.2224
O 3.6589 6.1281 6.9669
```

---

8.
The following is a PBE calculation of a relaxed Sr2YGaCu2O7 crystal, from Materials Project.

## Properties
Space-group type: Ima2 (46)
Total DFT energy (no corrections) (eV per formula unit): -83.3
DFT formation energy (eV per atom): -2.489
Total magnetization (μB/f.u.): 0.03

extended XYZ file:
```
26
Lattice="-11.6129 2.7649 2.7106 11.6129 -2.7649 2.7106 11.6129 2.7649 -2.7106" Properties=species:S:1:pos:R:3 pbc="T T T"
Sr 3.5141 0.1004 0.0000
Sr 8.0989 0.1004 0.0000
Sr 3.5141 2.6645 2.7106
Sr 8.0989 2.6645 2.7106
Y 0.0000 2.7649 2.6917
Y 0.0000 0.0000 5.4022
Ga 5.8065 -0.3846 2.9063
Ga 5.8065 3.1495 0.1957
Cu 1.6523 -0.0050 2.6917
Cu 9.9606 -0.0050 2.6917
Cu 1.6523 2.7699 -0.0188
Cu 9.9606 2.7699 -0.0188
O 17.4194 0.6396 -0.6013
O 4.1092 2.5186 -0.1588
O 7.5038 2.5186 -0.1588
O -1.4840 1.3779 1.3364
O 13.0969 1.3779 1.3364
O 1.4266 1.3898 1.3441
O 10.1863 1.3898 1.3441
O 4.1092 0.2464 2.5518
O 7.5038 0.2464 2.5518
O -5.8065 2.1253 2.1093
O -1.4266 4.1400 1.3441
O 1.4840 4.1520 1.3364
O -1.4840 1.3871 4.0470
O 1.4266 1.3751 4.0546
```

---

9.
The following is a PBE calculation of a relaxed SrEuZr4O12 crystal, from Materials Project.

## Properties
Space-group type: Amm2 (38)
Total DFT energy (no corrections) (eV per formula unit): -154.1
DFT formation energy (eV per atom): -3.156
Total magnetization (μB/f.u.): 3.00

extended XYZ file:
```
18
Lattice="8.3496 0.0000 0.0000 0.0000 4.1384 4.1242 0.0000 -4.1384 4.1242" Properties=species:S:1:pos:R:3 pbc="T T T"
Sr 0.0000 0.0000 0.0000
Eu 4.1748 0.0000 3.8931
Zr 2.0616 -1.9815 6.0231
Zr 2.0616 1.9815 6.0231
Zr 6.2881 -1.9815 6.0231
Zr 6.2881 1.9815 6.0231
O 0.0000 -1.7364 1.7594
O 0.0000 1.7364 1.7594
O 1.7284 0.0000 6.4193
O 2.3292 -1.6476 3.9463
O 2.3292 1.6476 3.9463
O 2.4159 0.0000 1.7658
O 4.1748 -1.7161 5.9409
O 4.1748 1.7161 5.9409
O 5.9337 0.0000 1.7658
O 6.0204 -1.6476 3.9463
O 6.0204 1.6476 3.9463
O 6.6212 0.0000 6.4193
```

---

10.
The following is a PBE calculation of a relaxed AlSi2O6 crystal, from Materials Project.

## Properties
Space-group type: C2/c (15)
Total DFT energy (no corrections) (eV per formula unit): -67.6
DFT formation energy (eV per atom): -3.046
Total magnetization (μB/f.u.): 0.01

extended XYZ file:
```
36
Lattice="2.6397 -4.5727 0.0000 2.6397 4.5727 0.0000 -1.4738 0.0000 19.3031" Properties=species:S:1:pos:R:3 pbc="T T T"
Al 1.2317 0.8112 0.0008
Al 0.4948 -0.8112 9.6524
Al 3.3108 0.8112 9.6507
Al 2.5739 -0.8112 19.3022
Si -0.2791 0.6404 12.3767
Si 0.6164 2.2190 16.5806
Si 0.4578 -0.6404 2.7251
Si 2.4522 2.2190 12.3740
Si 1.3533 -2.2190 6.9291
Si 3.3478 0.6404 16.5779
Si 3.1891 -2.2190 2.7224
Si 4.0847 -0.6404 6.9264
O -0.4614 0.4772 10.7396
O 1.7791 3.2160 3.3518
O 0.5875 0.8567 3.3559
O 0.3903 2.2890 18.2165
O 0.2755 -0.4772 1.0881
O 1.0432 1.5052 12.7407
O -0.1494 -0.8567 13.0074
O 2.7633 3.2160 6.2997
O 1.6459 0.4407 8.7824
O 2.6784 2.2890 10.7381
O 2.0255 1.5052 16.2139
O 0.9090 -0.4407 18.4339
O 2.8966 0.4407 0.8692
O 1.7801 -1.5052 3.0891
O 1.1271 -2.2890 8.5649
O 2.1597 -0.4407 10.5207
O 1.0423 -3.2160 13.0034
O 3.9550 0.8567 6.2957
O 2.7624 -1.5052 6.5624
O 3.5301 0.4772 18.2150
O 3.4153 -2.2890 1.0866
O 3.2181 -0.8567 15.9472
O 2.0264 -3.2160 15.9512
O 4.2670 -0.4772 8.5635
```

---

11.
The following is a PBE calculation of a relaxed Ca2SnS4 crystal, from Materials Project.

## Properties
Space-group type: Pnma (62)
Total DFT energy (no corrections) (eV per formula unit): -34.3
DFT formation energy (eV per atom): -1.679

extended XYZ file:
```
28
Lattice="13.9908 0.0000 0.0000 0.0000 8.2948 0.0000 0.0000 0.0000 6.5863" Properties=species:S:1:pos:R:3 pbc="T T T"
Ca 0.0000 0.0000 0.0000
Ca 0.0000 4.1474 0.0000
Ca 3.1670 2.0737 3.2155
Ca 3.8284 6.2211 6.5087
Ca 6.9954 0.0000 3.2932
Ca 6.9954 4.1474 3.2932
Ca 10.1624 2.0737 0.0777
Ca 10.8238 6.2211 3.3708
Sn 1.3328 6.2211 2.7226
Sn 5.6626 2.0737 6.0158
Sn 8.3282 6.2211 0.5706
Sn 12.6580 2.0737 3.8637
S 0.8815 2.0737 4.8767
S 1.3017 6.2211 5.1145
S 2.4004 4.3435 1.6187
S 2.4004 8.0986 1.6187
S 4.5950 0.1961 4.9118
S 4.5950 3.9512 4.9118
S 5.6937 2.0737 1.8213
S 6.1139 6.2211 1.5835
S 7.8769 2.0737 5.0028
S 8.2971 6.2211 4.7650
S 9.3958 4.3435 1.6745
S 9.3958 8.0986 1.6745
S 11.5904 0.1961 4.9677
S 11.5904 3.9512 4.9677
S 12.6891 2.0737 1.4719
S 13.1093 6.2211 1.7097
```